The following is a GGA+U calculation of crystalline Sr2Ca14Mn14Al2O41 at its relaxed geometry, from Materials Project.

Properties
The calculation puts the total energy at -1018.19 eV per cell. Its total magnetization is 54.00 μB/f.u. The space group is P1. As for the MP2020-corrected energy: -7.68 eV per atom.

a b c (Å): 11.0105 15.4993 11.0068
angles (deg): 90.09 91.88 90.01
Positions (direct):
Mn (0.9941, 0.7536, 0.2677)
Mn (0.7523, 0.2477, 0.4991)
Mn (0.5065, 0.4876, 0.7270)
Mn (0.7601, 0.7508, 0.0062)
Mn (0.9907, 0.4978, 0.7563)
Mn (0.9951, 0.4955, 0.2628)
Mn (0.7501, 0.7488, 0.5059)
Mn (0.5137, 0.7507, 0.7502)
Mn (0.2533, 0.0009, 0.0032)
Mn (0.0065, 0.2495, 0.7600)
Mn (0.2452, 0.2428, 0.4791)
Mn (0.7334, 0.9975, 0.5063)
Mn (0.5203, 0.7616, 0.2542)
Mn (0.7644, 0.2454, 0.0045)
Mn (0.7478, 0.5001, 0.9985)
Mn (0.0213, 0.9840, 0.2534)
Mn (0.7392, 0.5033, 0.4973)
Mn (0.5014, 0.2455, 0.2482)
Mn (0.7539, 0.9999, 0.0031)
Mn (0.5085, 0.4959, 0.2345)
Mn (0.9904, 0.7510, 0.7631)
Mn (0.5112, 0.2430, 0.7542)
Mn (0.2665, 0.7356, 0.9550)
Mn (0.2354, 0.4990, 0.0142)
Mn (0.9990, 0.9965, 0.7513)
Mn (0.4913, 0.0035, 0.7469)
Mn (0.2639, 0.7475, 0.4546)
Mn (0.2432, 0.4992, 0.5181)
O (0.1460, 0.0101, 0.8559)
O (0.8931, 0.0113, 0.8922)
O (0.2628, 0.3732, 0.9778)
O (0.7411, 0.6273, 0.5454)
O (0.3969, 0.2268, 0.3878)
O (0.5964, 0.9839, 0.6161)
O (0.3904, 0.0210, 0.8967)
O (0.0052, 0.8742, 0.7831)
O (0.9070, 0.7313, 0.4278)
O (0.3505, 0.5068, 0.1544)
O (0.6323, 0.0177, 0.8527)
O (0.2052, 0.1524, 0.0243)
O (0.3671, 0.2627, 0.1324)
O (0.5798, 0.7604, 0.5841)
O (0.4060, 0.2243, 0.8890)
O (0.8803, 0.2683, 0.6239)
O (0.0943, 0.4751, 0.1239)
O (0.6600, 0.7283, 0.8582)
O (0.9880, 0.8759, 0.3198)
O (0.3485, 0.9884, 0.6368)
O (0.9009, 0.2637, 0.1355)
O (0.8543, 0.4803, 0.1542)
O (0.3449, 0.5042, 0.6696)
O (0.2735, 0.8779, 0.4757)
O (0.2811, 0.3739, 0.4977)
O (0.8750, 0.2206, 0.3793)
O (0.8383, 0.4800, 0.6496)
O (0.8902, 0.5143, 0.8966)
O (0.8567, 0.9816, 0.6388)
O (0.1628, 0.7496, 0.8052)
O (0.9941, 0.6290, 0.7213)
O (0.4852, 0.8767, 0.7752)
O (0.8575, 0.7761, 0.1555)
O (0.5047, 0.3713, 0.2785)
O (0.3619, 0.9911, 0.1478)
O (0.6328, 0.2607, 0.1259)
O (0.7520, 0.1223, 0.0363)
O (0.6166, 0.2645, 0.6140)
O (0.4834, 0.3670, 0.7676)
O (0.1655, 0.7546, 0.2902)
O (0.6223, 0.0184, 0.3657)
O (0.6191, 0.9784, 0.1134)
O (0.7536, 0.3723, 0.9697)
O (0.9972, 0.1238, 0.7341)
O (0.8893, 0.5197, 0.4019)
O (0.4793, 0.1287, 0.7011)
O (0.6259, 0.5251, 0.8412)
O (0.8973, 0.2332, 0.8978)
O (0.6337, 0.2290, 0.3691)
O (0.5036, 0.1196, 0.2143)
O (0.0010, 0.6268, 0.2269)
O (0.2296, 0.6325, 0.5318)
O (0.9144, 0.7367, 0.9248)
O (0.5999, 0.4973, 0.0874)
O (0.9970, 0.3784, 0.3117)
O (0.2894, 0.8531, 0.9799)
O (0.0932, 0.4834, 0.6198)
O (0.7517, 0.1202, 0.5366)
O (0.5860, 0.7649, 0.0961)
O (0.7596, 0.8763, 0.9692)
O (0.1122, 0.9781, 0.1040)
O (0.1454, 0.5114, 0.8636)
O (0.4796, 0.8848, 0.2887)
O (0.7569, 0.6280, 0.0409)
O (0.0949, 0.9728, 0.6088)
O (0.1224, 0.2291, 0.3233)
O (0.0016, 0.3723, 0.7855)
O (0.1741, 0.2484, 0.8177)
O (0.7531, 0.8772, 0.4617)
O (0.1538, 0.5120, 0.3662)
O (0.7434, 0.3754, 0.4625)
O (0.1569, 0.0142, 0.3634)
O (0.6375, 0.5304, 0.3475)
O (0.6603, 0.7245, 0.3468)
O (0.8424, 0.7739, 0.6570)
O (0.8684, 0.0021, 0.1828)
O (0.2169, 0.6301, 0.0289)
O (0.6566, 0.2295, 0.8663)
O (0.4035, 0.6992, 0.3423)
O (0.2227, 0.1241, 0.5448)
O (0.5776, 0.4952, 0.5719)
O (0.3982, 0.6856, 0.8538)
Ca (0.5104, 0.3589, 0.4880)
Ca (0.2661, 0.1182, 0.7589)
Ca (0.9684, 0.3810, 0.0013)
Ca (0.9738, 0.8816, 0.9898)
Ca (0.5482, 0.6304, 0.9824)
Ca (0.5378, 0.6320, 0.4775)
Ca (0.7303, 0.8860, 0.7551)
Ca (0.2278, 0.6179, 0.2424)
Ca (0.4876, 0.8859, 0.5074)
Ca (0.2557, 0.8901, 0.2598)
Ca (0.2276, 0.3892, 0.7630)
Ca (0.5305, 0.1226, 0.9931)
Ca (0.0105, 0.1178, 0.9800)
Ca (0.7836, 0.6212, 0.2561)
Ca (0.2253, 0.6172, 0.7407)
Ca (0.5013, 0.8901, 0.9871)
Ca (0.0079, 0.6124, 0.5093)
Ca (0.7545, 0.3584, 0.7539)
Ca (0.7314, 0.1291, 0.2455)
Ca (0.9564, 0.3914, 0.5179)
Ca (0.5327, 0.1296, 0.4985)
Ca (0.2408, 0.8910, 0.7650)
Ca (0.7692, 0.1193, 0.7587)
Ca (0.9591, 0.8685, 0.5278)
Ca (0.9946, 0.6110, 0.0148)
Ca (0.7497, 0.8825, 0.2497)
Ca (0.7348, 0.3714, 0.2479)
Ca (0.7770, 0.6214, 0.7560)
Sr (0.5076, 0.3614, 0.9981)
Sr (0.2694, 0.1291, 0.2345)
Sr (0.2463, 0.3752, 0.2555)
Sr (0.9950, 0.1195, 0.5125)
Al (0.5138, 0.9984, 0.2303)
Al (0.2743, 0.2511, 0.9746)
Al (0.2253, 0.9970, 0.5213)
Al (0.9784, 0.2677, 0.2786)

The following is a GGA+U calculation of crystalline Sr2Ca14Mn14Al2O47 at its relaxed geometry, from Materials Project.

Properties
The calculation puts the total energy at -1094.26 eV per cell. Its total magnetization is 42.01 μB/f.u. The space group is P1. As for the MP2020-corrected energy: -7.63 eV per atom.

a b c (Å): 10.8352 15.1212 10.7174
angles (deg): 90.01 90.49 90.00
Positions (direct):
O (0.3934, 0.5195, 0.8937)
O (0.3584, 0.9803, 0.6354)
O (0.3530, 0.2678, 0.6474)
O (0.1045, 0.7716, 0.6029)
O (0.2409, 0.6265, 0.5398)
O (0.7425, 0.1242, 0.0387)
O (0.5068, 0.8802, 0.2883)
O (0.3539, 0.7708, 0.1472)
O (0.5075, 0.3750, 0.2852)
O (0.7407, 0.6262, 0.0394)
O (0.4897, 0.6253, 0.7098)
O (0.3562, 0.2624, 0.1357)
O (0.7408, 0.6252, 0.5399)
O (0.8831, 0.2338, 0.3970)
O (0.1357, 0.2378, 0.3559)
O (0.8539, 0.4793, 0.6469)
O (0.3547, 0.7712, 0.6471)
O (0.1464, 0.7298, 0.8528)
O (0.8956, 0.7298, 0.3968)
O (0.6480, 0.2304, 0.8534)
O (0.3534, 0.4814, 0.6479)
O (0.8975, 0.2311, 0.8992)
O (0.8951, 0.0179, 0.8967)
O (0.8541, 0.7705, 0.1463)
O (0.3964, 0.7310, 0.3974)
O (0.1456, 0.5207, 0.8519)
O (0.2574, 0.1186, 0.5245)
O (0.7582, 0.3759, 0.4618)
O (0.1060, 0.9816, 0.1049)
O (0.6119, 0.2646, 0.1097)
O (0.2394, 0.6255, 0.0382)
O (0.6457, 0.0208, 0.8507)
O (0.7562, 0.3757, 0.9621)
O (0.1442, 0.0118, 0.3622)
O (0.3947, 0.5195, 0.3961)
O (0.2370, 0.1288, 0.0278)
O (0.8964, 0.5196, 0.8976)
O (0.1017, 0.4826, 0.1018)
O (0.4008, 0.2287, 0.8865)
O (0.3599, 0.9819, 0.1491)
O (0.1443, 0.5215, 0.3555)
O (0.9902, 0.1246, 0.7226)
O (0.1034, 0.4802, 0.6039)
O (0.1000, 0.9784, 0.6128)
O (0.0075, 0.3727, 0.2771)
O (0.6027, 0.2685, 0.6011)
O (0.6304, 0.0200, 0.3600)
O (0.6046, 0.7720, 0.1040)
O (0.9967, 0.1304, 0.2145)
O (0.6053, 0.7691, 0.6048)
O (0.0091, 0.8747, 0.2880)
O (0.6447, 0.5205, 0.8545)
O (0.7409, 0.1247, 0.5404)
O (0.6107, 0.9790, 0.0970)
O (0.2633, 0.8788, 0.4627)
O (0.7621, 0.8742, 0.9578)
O (0.9890, 0.6249, 0.2112)
O (0.5107, 0.3749, 0.7791)
O (0.4913, 0.6276, 0.2129)
O (0.1464, 0.0187, 0.8536)
O (0.6460, 0.5215, 0.3548)
O (0.1067, 0.2683, 0.6085)
O (0.1465, 0.7304, 0.3529)
O (0.7582, 0.8745, 0.4604)
O (0.4923, 0.1198, 0.2226)
O (0.0096, 0.3758, 0.7892)
O (0.2601, 0.3754, 0.4725)
O (0.6042, 0.4812, 0.6022)
O (0.8869, 0.0178, 0.3888)
O (0.1413, 0.2320, 0.8644)
O (0.2600, 0.8758, 0.9623)
O (0.8554, 0.9800, 0.1450)
O (0.6103, 0.4846, 0.1092)
O (0.1041, 0.7702, 0.1031)
O (0.2422, 0.3698, 0.9736)
O (0.3956, 0.0209, 0.8950)
O (0.3581, 0.4874, 0.1422)
O (0.5100, 0.8749, 0.7888)
O (0.3960, 0.7300, 0.8970)
O (0.6023, 0.9789, 0.6017)
O (0.8550, 0.2702, 0.6478)
O (0.3958, 0.2331, 0.3960)
O (0.8546, 0.7711, 0.6468)
O (0.8539, 0.4798, 0.1464)
O (0.8699, 0.2706, 0.1386)
O (0.4912, 0.1241, 0.7081)
O (0.8962, 0.5189, 0.3972)
O (0.6443, 0.2291, 0.3547)
O (0.6454, 0.7291, 0.8538)
O (0.9889, 0.6252, 0.7097)
O (0.8527, 0.9802, 0.6459)
O (0.0097, 0.8737, 0.7926)
O (0.6460, 0.7307, 0.3540)
O (0.8958, 0.7289, 0.8967)
Sr (0.2393, 0.3768, 0.2496)
Sr (0.2613, 0.1248, 0.2517)
Sr (0.0142, 0.1246, 0.5003)
Sr (0.4857, 0.3759, 0.0027)
Ca (0.7722, 0.6251, 0.2544)
Ca (0.4799, 0.8702, 0.5065)
Ca (0.2287, 0.8750, 0.7485)
Ca (0.5255, 0.1254, 0.9954)
Ca (0.7293, 0.3732, 0.2458)
Ca (0.2280, 0.8750, 0.2463)
Ca (0.7722, 0.6252, 0.7549)
Ca (0.7282, 0.3746, 0.7456)
Ca (0.7673, 0.1217, 0.2545)
Ca (0.9748, 0.8748, 0.5033)
Ca (0.2715, 0.1251, 0.7511)
Ca (0.2729, 0.6256, 0.7546)
Ca (0.2733, 0.6258, 0.2538)
Ca (0.7271, 0.8756, 0.7444)
Ca (0.0195, 0.1199, 0.9916)
Ca (0.7725, 0.1251, 0.7552)
Ca (0.5229, 0.6248, 0.4951)
Ca (0.7312, 0.8734, 0.2459)
Ca (0.9783, 0.3755, 0.5034)
Ca (0.5245, 0.1286, 0.4970)
Ca (0.9775, 0.8746, 0.0060)
Ca (0.2272, 0.3757, 0.7458)
Ca (0.4762, 0.8740, 0.0021)
Ca (0.5214, 0.6251, 0.9976)
Ca (0.9747, 0.3793, 0.0015)
Ca (0.0238, 0.6255, 0.4947)
Ca (0.0231, 0.6254, 0.9968)
Ca (0.4778, 0.3751, 0.5046)
Mn (0.9974, 0.9974, 0.7532)
Mn (0.4997, 0.2470, 0.2495)
Mn (0.2509, 0.7523, 0.4994)
Mn (0.0018, 0.2501, 0.7544)
Mn (0.5002, 0.7497, 0.7506)
Mn (0.0001, 0.7499, 0.2497)
Mn (0.7474, 0.2506, 0.5029)
Mn (0.7545, 0.2490, 0.0019)
Mn (0.7453, 0.9991, 0.4981)
Mn (0.7504, 0.5002, 0.5005)
Mn (0.7499, 0.7503, 0.9996)
Mn (0.2499, 0.5014, 0.5023)
Mn (0.0012, 0.0008, 0.2493)
Mn (0.5028, 0.2483, 0.7468)
Mn (0.7503, 0.7495, 0.5004)
Mn (0.5002, 0.5006, 0.7478)
Mn (0.9995, 0.4994, 0.2497)
Mn (0.2499, 0.2484, 0.5007)
Mn (0.7513, 0.5018, 0.0005)
Mn (0.2486, 0.4995, 0.9985)
Mn (0.2509, 0.0013, 0.0012)
Mn (0.2497, 0.7501, 0.0002)
Mn (0.0000, 0.7500, 0.7500)
Mn (0.4983, 0.9996, 0.7479)
Mn (0.9998, 0.5006, 0.7491)
Mn (0.5025, 0.5024, 0.2507)
Mn (0.7511, 0.9984, 0.9964)
Mn (0.4999, 0.7533, 0.2513)
Al (0.2302, 0.9941, 0.5156)
Al (0.5154, 0.9974, 0.2288)
Al (0.9824, 0.2503, 0.2694)
Al (0.2703, 0.2457, 0.9822)

The following is a GGA+U calculation of crystalline Ca2AlMoO5 at its relaxed geometry, from Materials Project.

Properties
The calculation puts the total energy at -126.53 eV per cell. Its total magnetization is 3.00 μB/f.u. The space group is Cc. As for the MP2020-corrected energy: -7.77 eV per atom.

a b c (Å): 8.2590 8.2590 5.6536
angles (deg): 71.48 71.48 42.11
Positions (direct):
Mo (0.0017, 0.4998, 0.0037)
Mo (0.4998, 0.0017, 0.5037)
O (0.3325, 0.2070, 0.8043)
O (0.2730, 0.9297, 0.6863)
O (0.7250, 0.0741, 0.3276)
O (0.5843, 0.4231, 0.8945)
O (0.6698, 0.7946, 0.2031)
O (0.0741, 0.7250, 0.8276)
O (0.2070, 0.3325, 0.3043)
O (0.9297, 0.2730, 0.1863)
O (0.7946, 0.6698, 0.7031)
O (0.4231, 0.5843, 0.3945)
Ca (0.9212, 0.3483, 0.5823)
Ca (0.0746, 0.6561, 0.4217)
Ca (0.3483, 0.9212, 0.0823)
Ca (0.6561, 0.0746, 0.9217)
Al (0.6710, 0.3336, 0.2075)
Al (0.3336, 0.6710, 0.7075)

no.,ΔE_f (eV/f.u.)
1,-190.5
2,-203.0
3,-26.6